# 1
20
Lattice="5.4976 0.0000 0.0000 0.0000 5.7795 0.0000 -5.4602 0.0000 7.8811" Properties=species:S:1:pos:R:3 comment="VBiO3 (PBE+U, optimized geometry)" formation_enthalpy_0k_mev_per_atom=-2078 corrected_energy_ev_per_fu=-38.2 pbc="T T T"
V 0.0000 0.0000 0.0000
V -2.7301 2.8897 3.9405
V 0.0187 0.0000 3.9405
V 2.7488 2.8897 0.0000
Bi -2.7862 0.2559 5.8987
Bi -0.0562 2.6338 1.9582
Bi 0.0936 3.1456 5.9229
Bi 2.8237 5.5236 1.9824
O -1.7005 1.1520 3.5605
O -4.4306 1.7377 7.5010
O -1.0394 4.0449 3.5532
O -3.7695 4.6243 7.4937
O 0.5603 0.1806 1.9854
O -2.1698 2.7092 5.9259
O 2.2072 3.0703 1.9552
O -0.5229 5.5989 5.8957
O 3.8069 1.1552 0.3874
O 1.0768 1.7345 4.3279
O 4.4680 4.0417 0.3801
O 1.7379 4.6274 4.3206

# 2
17
Lattice="5.9674 0.0000 0.0000 1.0116 5.9481 0.0000 0.4955 2.9725 7.5513" Properties=species:S:1:pos:R:3 comment="V2Bi4O11 (PBE+U, optimized geometry)" formation_enthalpy_0k_mev_per_atom=-1953 corrected_energy_ev_per_fu=-121.4 magmom_total_mub_per_atom=0.00 polymorph_energy_mev_per_atom=38 pbc="T T T"
V 0.0000 0.0000 0.0000
V 3.6916 6.3223 7.5467
Bi 3.7505 5.9091 2.5807
Bi 3.2630 2.9297 4.9742
Bi 6.7031 5.8387 4.9456
Bi 6.2057 2.8719 2.6069
O 0.5155 0.7765 1.4912
O 1.0222 3.7496 6.0674
O 1.5942 4.2255 0.0083
O 2.2718 4.7290 3.6720
O 1.7835 1.7554 3.8709
O 3.2562 4.7357 7.5408
O 4.5382 6.6996 6.0491
O 4.0505 3.7169 1.4884
O 5.8285 8.7845 7.5402
O 5.2423 4.6858 3.8551
O 4.7510 1.7167 3.7039

# 3
5
Lattice="3.9398 0.0000 0.0000 0.0000 3.9398 0.0000 0.0000 0.0000 3.9398" Properties=species:S:1:pos:R:3 comment="VBiO3 (PBE+U, optimized geometry)" formation_enthalpy_0k_mev_per_atom=-1814 corrected_energy_ev_per_fu=-36.9 magmom_total_mub_per_atom=0.38 pbc="T T T"
V 0.0000 0.0000 0.0000
Bi 1.9699 1.9699 1.9699
O 0.0000 0.0000 1.9699
O 0.0000 1.9699 0.0000
O 1.9699 0.0000 0.0000

# 4
20
Lattice="-4.2232 4.2232 4.8252 4.2232 -4.2232 4.8252 4.2232 4.2232 -4.8252" Properties=species:S:1:pos:R:3 comment="V2BiO2 (PBE+U, optimized geometry)" formation_enthalpy_0k_mev_per_atom=-726 corrected_energy_ev_per_fu=-35.6 magmom_total_mub_per_atom=1.00 pbc="T T T"
V 2.8013 2.1116 -1.1979
V 5.6452 2.1116 -1.1979
V 0.0000 0.6897 1.2147
V 4.2232 0.6897 3.6105
V 0.0000 3.5335 1.2147
V 4.2232 3.5335 3.6105
V -1.4219 2.1116 6.0232
V 1.4219 2.1116 6.0232
Bi 4.2232 0.0000 0.0000
Bi -2.1116 2.1116 2.4126
Bi 0.0000 0.0000 4.8252
Bi 2.1116 2.1116 2.4126
O 4.2232 -0.8190 2.2926
O 4.2232 3.4043 -2.2926
O 1.2927 2.1116 0.1200
O 2.9306 -2.1116 4.9452
O 1.2927 6.3349 -0.1200
O 2.9306 2.1116 4.7053
O 0.0000 0.8190 7.1179
O 0.0000 5.0422 2.5326

# 5
6
Lattice="4.7899 0.0000 0.0000 1.1549 4.6601 0.0000 2.2467 1.7612 4.5112" Properties=species:S:1:pos:R:3 comment="VBiO4 (PBE+U, optimized geometry)" formation_enthalpy_0k_mev_per_atom=-2092 corrected_energy_ev_per_fu=-45.3 magmom_total_mub_per_atom=0.00 pbc="T T T"
V 0.0000 0.0000 0.0000
Bi 4.4463 2.7601 2.2535
O 3.9605 1.8380 4.3396
O 4.2326 0.7127 1.5321
O 5.4612 3.0179 0.1695
O 6.4863 2.4776 2.9765

# 6
192
Lattice="10.0513 -5.8980 0.0000 10.0513 5.8980 0.0000 -9.9929 0.0000 26.1248" Properties=species:S:1:pos:R:3 comment="V2Bi7O15 (PBE+U, optimized geometry)" formation_enthalpy_0k_mev_per_atom=-1863 corrected_energy_ev_per_fu=-164.3 magmom_total_mub_per_atom=0.04 pbc="T T T"
V 2.5798 -4.7701 24.5547
V 7.5298 4.7701 1.5702
V 1.1321 4.6656 21.2161
V -0.9493 1.2094 14.7362
V 3.9811 4.6656 17.9712
V 7.5763 4.7701 11.4922
V 5.3455 1.2478 5.0749
V 4.0472 -1.2094 1.6738
V 0.3491 -1.2478 18.1373
V 9.7606 1.2478 7.9876
V 6.0625 1.2094 24.4510
V 4.7641 -1.2478 21.0500
V 2.5334 -4.7701 14.6326
V 6.1285 -4.6656 8.1537
V 11.0589 -1.2094 11.3886
V 8.9776 -4.6656 4.9088
Bi -0.8557 4.8903 24.6502
Bi -3.9486 2.8277 24.4810
Bi -2.2666 2.5010 21.3302
Bi -5.2770 0.6415 21.4467
Bi 0.3511 2.8058 17.8758
Bi -2.9349 0.7083 18.0294
Bi 2.5374 3.0850 14.6510
Bi 5.9688 4.8903 14.5370
Bi 1.0750 1.0066 11.8354
Bi 6.3291 3.2162 8.1754
Bi -0.2806 -0.6415 8.3843
Bi 3.1262 1.3624 8.4165
Bi 4.5789 2.8180 11.4377
Bi 2.0615 -0.7083 4.9670
Bi 8.7770 3.2162 4.8870
Bi 10.5272 2.8180 1.6247
Bi 2.5758 3.0850 24.5362
Bi -0.6500 1.1189 24.5448
Bi 7.3356 0.6004 1.5501
Bi -3.9215 -1.0066 24.8978
Bi 1.1841 0.7178 21.2663
Bi 4.7621 2.8058 21.3114
Bi -1.8702 -1.3624 21.4790
Bi 2.3392 -0.6004 14.6125
Bi 5.7632 1.1189 14.6425
Bi 3.9291 0.7178 17.9209
Bi 9.0617 2.8277 14.7062
Bi 7.3798 2.5010 17.8570
Bi 2.7299 -2.5010 8.2678
Bi 1.0479 -2.8277 11.4186
Bi 6.1805 -0.7178 8.2039
Bi 4.3464 -1.1189 11.4824
Bi 7.7704 0.6004 11.5123
Bi 11.9799 1.3624 4.6459
Bi 5.3475 -2.8058 4.8134
Bi 8.9256 -0.7178 4.8585
Bi 14.0311 1.0066 1.2271
Bi 2.7740 -0.6004 24.5747
Bi 10.7597 -1.1189 1.5801
Bi 7.5339 -3.0850 1.5886
Bi -0.4175 -2.8180 24.5002
Bi 1.3326 -3.2162 21.2378
Bi 8.0481 0.7083 21.1579
Bi 5.5307 -2.8180 14.6871
Bi 6.9834 -1.3624 17.7083
Bi 10.3902 0.6415 17.7406
Bi 3.7806 -3.2162 17.9494
Bi 9.0347 -1.0066 14.2895
Bi 4.1408 -4.8903 11.5878
Bi 7.5722 -3.0850 11.4738
Bi 13.0446 -0.7083 8.0955
Bi 9.7586 -2.8058 8.2490
Bi 15.3867 -0.6415 4.6781
Bi 12.3762 -2.5010 4.7946
Bi 14.0582 -2.8277 1.6438
Bi 10.9653 -4.8903 1.4746
O 1.5751 3.4399 12.6267
O 0.1118 4.8012 22.6260
O -6.0258 0.3143 18.7661
O -3.6403 0.1180 12.0520
O 7.2152 3.7038 0.1320
O -1.7743 2.4731 18.3191
O -8.6368 -0.1180 25.1145
O -1.0294 -0.3143 5.7037
O 4.2949 3.5030 8.7714
O -1.9354 3.1451 23.6794
O 0.6408 1.2574 8.8417
O 2.3612 4.2123 17.5112
O -5.9221 0.5957 23.8222
O -3.7329 1.5866 22.6299
O 0.4107 3.4193 20.2143
O -2.4529 0.6408 15.5382
O 0.3065 2.2326 15.6453
O -3.3647 0.8882 20.2025
O 5.6127 2.7769 5.9249
O 5.0014 4.8012 16.5612
O 4.7142 1.5533 3.5110
O 8.5070 3.5211 2.6081
O 2.7520 4.2123 21.6760
O -0.9257 -0.5957 10.7598
O 2.5435 -0.6408 2.4758
O 6.5991 3.5211 10.4543
O 4.7004 3.0800 13.8544
O 3.0658 1.3468 10.6072
O 0.4128 3.0800 25.3329
O -2.9324 0.9953 25.3383
O 0.0756 0.0363 13.8160
O 5.0721 -0.0363 0.7535
O 2.5650 1.2314 13.4842
O -0.9421 0.9858 22.0192
O 1.6317 -0.8882 7.1401
O 4.2081 0.2643 5.9734
O 4.7025 3.4193 18.9730
O -4.3556 -1.2574 21.9042
O 10.8112 3.5030 4.2911
O 7.8909 3.7038 12.9305
O 5.5346 1.2384 8.7580
O -0.7883 -0.2643 19.0358
O 9.4934 2.7769 7.1375
O 3.4406 1.1607 15.8743
O 1.2635 -1.5866 9.5674
O 7.0486 3.1451 15.5079
O 13.5309 3.4399 0.4357
O 9.4612 1.0343 0.9170
O 6.8563 0.3729 4.9483
O 2.0641 -0.9953 12.2759
O 5.6449 1.0343 12.1454
O 1.6726 1.1607 23.3130
O -0.2823 -1.5533 16.5734
O 9.5715 1.2384 4.3045
O 4.0544 -0.9858 8.9568
O 1.8599 -0.3729 18.0107
O -1.9307 -1.3468 23.6696
O 3.2221 -2.4731 5.2567
O 7.5615 -1.2314 0.4218
O 4.8067 2.2326 23.5420
O 5.3029 -2.2326 2.5829
O 2.5482 1.2314 25.7031
O 6.8875 2.4731 20.8682
O 12.0403 1.3468 2.4552
O 8.2498 0.3729 8.1141
O 6.0552 0.9858 17.1680
O 0.5381 -1.2384 21.8204
O 10.3919 1.5533 9.5514
O 8.4371 -1.1607 2.8119
O 4.4647 -1.0343 13.9795
O 8.0456 0.9953 13.8490
O 3.2533 -0.3729 21.1766
O 0.6484 -1.0343 25.2078
O -3.4213 -3.4399 25.6891
O 3.0611 -3.1451 10.6170
O 8.8461 1.5866 16.5574
O 6.6690 -1.1607 10.2505
O 0.6162 -2.7769 18.9873
O 10.8979 0.2643 7.0890
O 4.5751 -1.2384 17.3669
O 2.2188 -3.7038 13.1944
O -0.7015 -3.5030 21.8338
O 14.4653 1.2574 4.2207
O 5.4072 -3.4193 7.1519
O 5.9015 -0.2643 20.1514
O 8.4779 0.8882 18.9847
O 11.0517 -0.9858 4.1056
O 7.5446 -1.2314 12.6406
O 5.0375 0.0363 25.3713
O 10.0340 -0.0363 12.3089
O 13.0420 -0.9953 0.7865
O 9.6968 -3.0800 0.7920
O 7.0439 -1.3468 15.5176
O 5.4093 -3.0800 12.2704
O 3.5105 -3.5211 15.6705
O 7.5661 0.6408 23.6490
O 11.0353 0.5957 15.3651
O 7.3577 -4.2123 4.4488
O 1.6027 -3.5211 23.5167
O 5.3955 -1.5533 22.6138
O 5.1082 -4.8012 9.5636
O 4.4970 -2.7769 20.1999
O 13.4744 -0.8882 5.9223
O 9.8032 -2.2326 10.4796
O 12.5626 -0.6408 10.5866
O 9.6989 -3.4193 5.9105
O 13.8426 -1.5866 3.4950
O 16.0318 -0.5957 2.3026
O 7.7484 -4.2123 8.6136
O 9.4688 -1.2574 17.2831
O 12.0450 -3.1451 2.4454
O 5.8147 -3.5030 17.3535
O 11.1390 0.3143 20.4211
O 18.7464 0.1180 1.0104
O 11.8840 -2.4731 7.8057
O 2.8944 -3.7038 25.9929
O 13.7499 -0.1180 14.0728
O 16.1354 -0.3143 7.3587
O 9.9978 -4.8012 3.4988
O 8.5345 -3.4399 13.4982

# 7
12
Lattice="3.1520 -5.6478 0.0000 3.1520 5.6478 0.0000 -2.6956 0.0000 5.5265" Properties=species:S:1:pos:R:3 comment="VBiO4 (PBE+U, optimized geometry)" formation_enthalpy_0k_mev_per_atom=-2077 corrected_energy_ev_per_fu=-45.2 magmom_total_mub_per_atom=0.00 pbc="T T T"
V 1.1303 4.5033 4.1449
V 2.4781 -4.5033 1.3816
Bi 1.1303 1.1930 4.1449
Bi 2.4781 -1.1930 1.3816
O 1.4668 3.4829 2.8290
O 0.7937 3.4829 5.4608
O 0.7797 0.2406 1.9476
O -0.5681 -0.2406 4.7109
O 4.1764 0.2406 0.8156
O 2.8286 -0.2406 3.5789
O 2.8146 -3.4829 0.0657
O 2.1415 -3.4829 2.6975

# 8
12
Lattice="3.6690 -5.8739 0.0000 3.6690 5.8739 0.0000 -3.6531 0.0000 3.6689" Properties=species:S:1:pos:R:3 comment="VBiO4 (PBE+U, optimized geometry)" formation_enthalpy_0k_mev_per_atom=-2135 corrected_energy_ev_per_fu=-45.6 magmom_total_mub_per_atom=0.00 pbc="T T T"
V 0.9291 4.3787 2.7516
V 2.7557 -4.3787 0.9172
Bi 2.7557 1.4906 0.9172
Bi 0.9291 -1.4906 2.7516
O -0.5269 3.4588 3.1531
O -0.5058 0.5607 2.3398
O 1.3207 -0.5607 0.5053
O 2.3851 3.4588 2.3502
O 1.2996 -3.4588 1.3186
O 2.3640 0.5607 3.1635
O 4.1906 -0.5607 1.3291
O 4.2117 -3.4588 0.5158

# 9
34
Lattice="6.0023 0.0000 0.0000 0.0000 5.6712 0.0000 -0.7383 0.0000 15.0076" Properties=species:S:1:pos:R:3 comment="V2Bi4O11 (PBE+U, optimized geometry)" formation_enthalpy_0k_mev_per_atom=-1930 corrected_energy_ev_per_fu=-121.0 magmom_total_mub_per_atom=0.00 polymorph_energy_mev_per_atom=60 pbc="T T T"
V 0.0000 1.3510 0.0000
V -0.3692 4.3201 7.5038
V 2.0787 1.4036 7.2807
V 1.7095 4.2676 14.7845
Bi 2.1496 1.3054 2.7265
Bi 1.7805 4.3657 10.2303
Bi 2.1180 1.5257 12.4717
Bi 2.4871 4.1455 4.9679
Bi 4.8599 1.3826 10.0268
Bi 5.2291 4.2886 2.5230
Bi 5.1118 1.4428 5.1823
Bi 4.7427 4.2283 12.6861
O 5.9159 1.4182 1.7356
O 5.5467 4.2529 9.2393
O 0.6825 0.2218 11.2961
O 1.0517 5.4494 3.7923
O 1.1024 2.7696 3.9184
O 0.7333 2.9016 11.4222
O 0.7802 2.7855 14.7071
O 1.1494 2.8857 7.2033
O 0.7992 0.1215 14.6848
O 1.1683 5.5497 7.1810
O 2.8978 1.4362 5.7364
O 2.5287 4.2350 13.2402
O 2.8503 1.4229 8.8342
O 3.2194 4.2482 1.3304
O 3.6125 0.0459 11.2492
O 3.9817 5.6253 3.7454
O 3.6971 2.7549 11.2871
O 4.0663 2.9162 3.7833
O 4.2679 0.0369 14.5393
O 4.6371 5.6342 7.0355
O 4.2942 2.6158 14.3034
O 4.6633 3.0554 6.7996

# 10
51
Lattice="7.1927 0.0000 0.0000 -0.9535 8.4264 0.0000 -1.6753 -1.9158 10.1346" Properties=species:S:1:pos:R:3 comment="V16Bi3O32 (PBE+U, optimized geometry)" formation_enthalpy_0k_mev_per_atom=-2379 corrected_energy_ev_per_fu=-436.7 magmom_total_mub_per_atom=0.45 pbc="T T T"
V 0.0000 0.0000 0.0000
V 6.5323 1.6357 2.5302
V 1.0105 4.7075 2.8334
V 0.3678 6.2808 5.3917
V 0.6688 -0.5153 7.9969
V 1.6929 3.0584 0.3256
V 3.2521 5.5515 4.7817
V 3.9218 3.9519 2.2703
V 2.9043 0.4262 9.8818
V 3.5766 -1.2043 7.3069
V 5.8696 0.1933 5.1760
V 5.5835 7.0259 2.6182
V 6.2772 5.3820 0.0601
V 5.2665 1.8547 7.6634
V 5.8470 3.2610 5.0735
V 5.2093 4.8789 7.6306
Bi 2.1613 1.6656 5.2672
Bi 2.9023 0.0962 2.5201
Bi 1.1536 4.9481 9.8740
O -0.6907 0.4837 6.9873
O -0.2508 5.6680 1.9480
O -0.9212 7.3091 4.5382
O -1.2337 2.0653 9.5253
O -0.8470 3.2727 7.0066
O -0.0750 1.6592 4.5290
O 0.6214 0.0810 1.9850
O -1.3348 4.9737 9.5518
O -0.7008 6.0941 7.0412
O -0.0476 4.6161 4.5078
O -0.3682 -0.5788 9.6558
O 0.6549 2.9855 2.0179
O 1.9513 -0.3165 6.3474
O 1.6788 6.4358 3.7909
O 2.3728 4.7626 1.2999
O 1.3853 1.1354 9.0145
O 2.5557 3.9091 3.8259
O 1.9060 5.6285 6.2756
O 3.2504 2.2172 1.3566
O 2.2727 -1.4057 8.9548
O 4.2832 5.6685 3.1257
O 4.9796 4.0311 0.6259
O 3.6973 7.3348 5.5586
O 3.9855 0.5650 8.2037
O 4.9541 6.9391 0.6103
O 4.6208 1.7133 5.7090
O 5.3199 0.1329 3.2017
O 4.1174 3.4159 8.2517
O 4.4822 4.6588 5.7408
O 5.1754 3.0154 3.2031
O 5.8554 1.3869 0.6677
O 3.9659 6.2133 8.2399